Li17V16O32, relaxed, DFT PBE+U; ΔH_f (0 K) = -2.44 eV per atom; M_tot = 33.0 μB per formula unit; MP2020-corrected energy = -7.615 eV/atom; total energy = -445.8 eV for the cell shown
1.0
6.023 6.015 0.000
-6.023 6.015 0.000
0.000 5.978 8.510
Li V O
17 16 32
Direct
0.760 0.252 0.995
0.252 0.760 0.995
0.502 0.993 0.994
0.993 0.502 0.994
0.631 0.869 0.252
0.108 0.422 0.214
0.422 0.108 0.214
0.869 0.631 0.252
0.187 0.187 0.375
0.505 0.505 0.500
0.950 0.950 0.532
0.266 0.266 0.536
0.748 0.748 0.496
0.122 0.375 0.757
0.874 0.616 0.754
0.375 0.122 0.757
0.616 0.874 0.754
0.498 0.498 0.000
0.749 0.749 0.001
0.997 0.997 0.006
0.251 0.251 0.000
0.623 0.374 0.250
0.125 0.873 0.247
0.873 0.125 0.247
0.374 0.623 0.250
0.752 0.249 0.498
0.000 0.495 0.502
0.249 0.752 0.498
0.495 0.000 0.502
0.124 0.875 0.751
0.376 0.626 0.748
0.626 0.376 0.748
0.875 0.124 0.751
0.007 0.245 0.009
0.505 0.735 0.004
0.245 0.007 0.009
0.735 0.505 0.004
0.383 0.383 0.247
0.882 0.882 0.255
0.620 0.620 0.245
0.127 0.127 0.240
0.863 0.365 0.253
0.128 0.620 0.260
0.365 0.863 0.253
0.620 0.128 0.260
0.009 0.742 0.493
0.513 0.248 0.492
0.742 0.009 0.493
0.248 0.513 0.492
0.252 0.988 0.505
0.753 0.485 0.506
0.988 0.252 0.505
0.485 0.753 0.506
0.636 0.136 0.746
0.874 0.372 0.742
0.136 0.636 0.746
0.372 0.874 0.742
0.875 0.875 0.758
0.376 0.376 0.759
0.613 0.613 0.752
0.113 0.113 0.756
0.501 0.263 0.992
0.994 0.752 0.993
0.752 0.994 0.993
0.263 0.501 0.992

LiCo2P3O12, relaxed, DFT PBE+U; ΔE to the lowest computed polymorph = 19.6 meV/atom; ΔH_f (0 K) = -2.04 eV per atom; M_tot = 8.0 μB per formula unit; MP2020-corrected energy = -7.134 eV/atom; total energy = -467.5 eV for the cell shown
1.0
-3.993 7.542 2.006
-0.250 -2.359 8.372
10.701 5.176 1.842
Li Co P O
4 8 12 48
Direct
0.789 0.834 0.496
0.728 0.962 0.069
0.228 0.038 0.931
0.289 0.166 0.504
0.461 0.498 0.631
0.038 0.498 0.873
0.538 0.502 0.127
0.961 0.502 0.369
0.045 0.000 0.139
0.465 0.991 0.363
0.965 0.009 0.637
0.545 0.000 0.861
0.250 0.286 0.254
0.388 0.354 0.895
0.106 0.361 0.605
0.606 0.639 0.395
0.888 0.646 0.105
0.750 0.714 0.746
0.250 0.785 0.751
0.113 0.856 0.398
0.396 0.854 0.101
0.896 0.146 0.899
0.613 0.144 0.602
0.750 0.215 0.249
0.851 0.309 0.326
0.663 0.320 0.166
0.902 0.324 0.903
0.598 0.320 0.593
0.364 0.378 0.182
0.221 0.393 0.924
0.147 0.401 0.316
0.427 0.407 0.777
0.064 0.414 0.721
0.274 0.393 0.573
0.993 0.430 0.520
0.500 0.429 0.978
0.000 0.571 0.022
0.493 0.570 0.480
0.774 0.607 0.427
0.564 0.586 0.279
0.927 0.593 0.223
0.647 0.599 0.684
0.721 0.607 0.076
0.864 0.622 0.818
0.098 0.680 0.407
0.402 0.676 0.097
0.163 0.680 0.834
0.351 0.691 0.674
0.651 0.808 0.827
0.830 0.814 0.658
0.597 0.818 0.409
0.905 0.822 0.093
0.133 0.876 0.681
0.275 0.908 0.431
0.338 0.904 0.822
0.078 0.910 0.277
0.436 0.909 0.219
0.237 0.911 0.067
0.519 0.920 0.020
0.991 0.925 0.476
0.491 0.075 0.524
0.019 0.080 0.980
0.737 0.089 0.933
0.936 0.091 0.781
0.578 0.090 0.723
0.838 0.096 0.178
0.775 0.092 0.569
0.633 0.124 0.319
0.405 0.178 0.907
0.097 0.182 0.591
0.330 0.186 0.342
0.151 0.192 0.173

MnSeO4, relaxed, DFT PBE+U; ΔH_f (0 K) = -1.28 eV per atom; M_tot = 3.0 μB per formula unit; MP2020-corrected energy = -6.691 eV/atom; total energy = -71.5 eV for the cell shown
1.0
0.000 0.000 4.901
5.825 0.000 0.000
0.000 6.588 -2.450
Mn Se O
2 2 8
Direct
0.298 0.250 0.458
0.840 0.750 0.542
0.910 0.250 0.787
0.123 0.750 0.213
0.205 0.250 0.715
0.491 0.750 0.285
0.414 0.250 0.250
0.164 0.750 0.750
0.678 0.033 0.642
0.037 0.967 0.358
0.678 0.467 0.642
0.037 0.533 0.358

Li9V8F48, relaxed, DFT PBE+U; ΔH_f (0 K) = -2.95 eV per atom; M_tot = 1.0 μB per formula unit; MP2020-corrected energy = -5.742 eV/atom; total energy = -337.5 eV for the cell shown
1.0
9.916 0.000 0.000
-0.080 10.072 0.000
-4.938 -5.005 8.816
Li V F
9 8 48
Direct
0.297 0.316 0.116
0.677 0.704 0.391
0.805 0.321 0.634
0.620 0.890 0.251
0.877 0.642 0.760
0.637 0.360 0.240
0.887 0.132 0.776
0.852 0.596 0.181
0.870 0.121 0.244
0.006 0.503 0.004
0.008 0.003 0.005
0.008 0.504 0.505
0.008 0.998 0.504
0.491 0.494 0.989
0.491 0.990 0.986
0.492 0.502 0.499
0.496 0.004 0.504
0.013 0.012 0.847
0.139 0.365 0.988
0.161 0.991 0.656
0.998 0.333 0.346
0.365 0.615 0.002
0.019 0.833 0.361
0.168 0.478 0.638
0.123 0.129 0.500
0.121 0.627 0.491
0.328 0.838 0.842
0.994 0.474 0.153
0.349 0.323 0.848
0.165 0.665 0.129
0.523 0.533 0.865
0.172 0.169 0.135
0.524 0.030 0.861
0.394 0.864 0.509
0.384 0.355 0.491
0.630 0.877 0.001
0.131 0.876 0.005
0.330 0.517 0.355
0.470 0.160 0.639
0.333 0.996 0.347
0.479 0.649 0.650
0.517 0.355 0.338
0.679 0.003 0.650
0.544 0.844 0.363
0.676 0.479 0.631
0.871 0.121 0.994
0.382 0.137 0.015
0.626 0.641 0.507
0.622 0.135 0.495
0.479 0.970 0.136
0.844 0.833 0.863
0.484 0.462 0.144
0.842 0.322 0.841
0.655 0.677 0.169
0.979 0.514 0.825
0.671 0.162 0.155
0.867 0.375 0.499
0.863 0.868 0.491
0.825 0.528 0.358
0.958 0.154 0.634
0.653 0.405 0.025
0.982 0.660 0.649
0.834 0.012 0.344
0.858 0.617 0.018
0.990 0.003 0.160

Pr2P3H5WO9, relaxed, DFT PBE+U; ΔE to the lowest computed polymorph = 0.0 meV/atom; ΔH_f (0 K) = -1.93 eV per atom; M_tot = 4.0 μB per formula unit; MP2020-corrected energy = -6.941 eV/atom; total energy = -512.8 eV for the cell shown
1.0
0.224 -8.670 -1.819
-4.202 -1.956 8.808
-9.543 1.558 -8.601
Pr P H W O
8 12 20 4 36
Direct
0.200 0.621 0.543
0.800 0.379 0.457
0.700 0.879 0.957
0.300 0.121 0.043
0.039 0.063 0.752
0.961 0.937 0.248
0.539 0.437 0.748
0.461 0.563 0.252
0.254 0.376 0.938
0.746 0.624 0.062
0.754 0.124 0.562
0.246 0.876 0.438
0.588 0.696 0.665
0.412 0.304 0.335
0.088 0.804 0.835
0.912 0.196 0.165
0.697 0.188 0.921
0.303 0.812 0.079
0.197 0.312 0.579
0.803 0.688 0.421
0.492 0.965 0.717
0.508 0.035 0.283
0.992 0.535 0.783
0.008 0.465 0.217
0.113 0.446 0.941
0.887 0.554 0.059
0.613 0.054 0.559
0.387 0.946 0.441
0.683 0.805 0.659
0.317 0.195 0.341
0.183 0.695 0.841
0.817 0.305 0.159
0.768 0.271 0.015
0.232 0.729 0.985
0.268 0.229 0.485
0.732 0.771 0.515
0.478 0.220 0.709
0.522 0.780 0.291
0.978 0.280 0.791
0.022 0.720 0.209
0.370 0.063 0.657
0.630 0.937 0.343
0.870 0.437 0.843
0.130 0.563 0.157
0.167 0.206 0.642
0.833 0.794 0.358
0.667 0.294 0.858
0.333 0.706 0.142
0.440 0.698 0.606
0.560 0.302 0.394
0.940 0.802 0.894
0.060 0.198 0.106
0.363 0.448 0.882
0.637 0.552 0.118
0.863 0.052 0.618
0.137 0.948 0.382
0.205 0.894 0.560
0.795 0.106 0.440
0.705 0.606 0.940
0.295 0.394 0.060
0.808 0.066 0.865
0.192 0.934 0.135
0.308 0.434 0.635
0.692 0.566 0.365
0.560 0.117 0.958
0.440 0.883 0.042
0.060 0.383 0.542
0.940 0.617 0.458
0.169 0.949 0.886
0.831 0.051 0.114
0.669 0.551 0.614
0.331 0.449 0.386
0.069 0.788 0.712
0.931 0.212 0.288
0.569 0.712 0.788
0.431 0.288 0.212
0.227 0.216 0.887
0.773 0.784 0.113
0.727 0.284 0.613
0.273 0.716 0.387

YFeO3, relaxed, DFT PBE+U; ΔH_f (0 K) = -2.83 eV per atom; MP2020-corrected energy = -8.783 eV/atom; total energy = -158.4 eV for the cell shown
1.0
-0.582 1.897 -4.958
-4.413 -3.458 -0.806
-4.770 5.468 2.653
Y Fe O
4 4 12
Direct
0.519 0.431 0.250
0.019 0.069 0.750
0.981 0.931 0.250
0.481 0.569 0.750
0.500 0.000 0.000
0.000 0.500 0.000
0.000 0.500 0.500
0.500 0.000 0.500
0.191 0.806 0.941
0.691 0.694 0.059
0.309 0.306 0.559
0.809 0.194 0.441
0.809 0.194 0.059
0.309 0.306 0.941
0.691 0.694 0.441
0.191 0.806 0.559
0.615 0.958 0.750
0.115 0.542 0.250
0.885 0.458 0.750
0.385 0.042 0.250

Look up the ΔH_f (0 K) of the second one. -2.04 eV per atom

What is the formula in the fifth record? Pr2P3H5WO9

total energy of number 3 (MnSeO4)? -71.5 eV for the cell shown